# KVF4 r2SCAN optimized geometry
# calculated formation energy = -3.24 eV per atom
# mass density = 3.1 Mg/m³
# raw total energy = -8.67 eV/atom
data_KVF4
_cell_length_a 12.189
_cell_length_b 7.587
_cell_length_c 7.715
_cell_angle_alpha 90.00
_cell_angle_beta 90.00
_cell_angle_gamma 90.00
_space_group_name_H-M_alt 'P n m a'
_space_group_IT_number 62
loop_
_space_group_symop_operation_xyz
'x,y,z'
'-x,-y,-z'
'-x+1/2,-y,z+1/2'
'x+1/2,y,-z+1/2'
'x+1/2,-y+1/2,-z+1/2'
'-x+1/2,y+1/2,z+1/2'
'-x,y+1/2,-z'
'x,-y+1/2,z'
loop_
_atom_site_label
_atom_site_type_symbol
_atom_site_fract_x
_atom_site_fract_y
_atom_site_fract_z
K1 K 0.012 0.250 0.124
K2 K 0.027 0.250 0.625
V1 V 0.248 0.501 0.375
F1 F 0.096 0.046 0.365
F2 F 0.100 0.049 0.885
F3 F 0.212 0.750 0.426
F4 F 0.218 0.750 0.824
F5 F 0.249 0.055 0.625